1.
The following is a DFT calculation (GGA-PBE) of an optimized crystal structure of Be3Tl2Cd2F12.

Properties
For the energy of formation from the pure elements, the calculation gives -2.9085 eV per atom. As for the space-group type: P2_13 (198). Its raw total energy is -361.9 eV for the cell shown. For the volume, the calculation gives 15.92 Å³ per atom.

```
data_Be3Tl2Cd2F12
_symmetry_space_group_name_H-M 'P 1'
_symmetry_Int_Tables_number 1
_symmetry_space_group_name_Hall 'P 1'
_cell_length_a 10.655
_cell_length_b 10.655
_cell_length_c 10.655
_cell_angle_alpha 90.00
_cell_angle_beta 90.00
_cell_angle_gamma 90.00
loop_
_atom_site_label
_atom_site_type_symbol
_atom_site_fract_x
_atom_site_fract_y
_atom_site_fract_z
F1 F 0.560 0.763 0.999
F2 F 0.001 0.060 0.737
F3 F 0.908 0.344 0.749
F4 F 0.045 0.806 0.224
F5 F 0.060 0.737 0.001
F6 F 0.940 0.237 0.499
F7 F 0.921 0.823 0.491
F8 F 0.694 0.776 0.545
F9 F 0.306 0.276 0.955
F10 F 0.776 0.545 0.694
F11 F 0.955 0.306 0.276
F12 F 0.408 0.156 0.251
F13 F 0.194 0.724 0.455
F14 F 0.249 0.592 0.656
F15 F 0.751 0.092 0.844
F16 F 0.844 0.751 0.092
F17 F 0.501 0.440 0.263
F18 F 0.323 0.009 0.079
F19 F 0.344 0.749 0.908
F20 F 0.092 0.844 0.751
F21 F 0.656 0.249 0.592
F22 F 0.455 0.194 0.724
F23 F 0.579 0.177 0.991
F24 F 0.823 0.491 0.921
F25 F 0.991 0.579 0.177
F26 F 0.724 0.455 0.194
F27 F 0.999 0.560 0.763
F28 F 0.509 0.421 0.677
F29 F 0.806 0.224 0.045
F30 F 0.737 0.001 0.060
F31 F 0.499 0.940 0.237
F32 F 0.276 0.955 0.306
F33 F 0.251 0.408 0.156
F34 F 0.763 0.999 0.560
F35 F 0.009 0.079 0.323
F36 F 0.491 0.921 0.823
F37 F 0.156 0.251 0.408
F38 F 0.677 0.509 0.421
F39 F 0.237 0.499 0.940
F40 F 0.749 0.908 0.344
F41 F 0.440 0.263 0.501
F42 F 0.421 0.677 0.509
F43 F 0.177 0.991 0.579
F44 F 0.079 0.323 0.009
F45 F 0.263 0.501 0.440
F46 F 0.545 0.694 0.776
F47 F 0.592 0.656 0.249
F48 F 0.224 0.045 0.806
Be1 Be 0.517 0.283 0.624
Be2 Be 0.124 0.983 0.717
Be3 Be 0.624 0.517 0.283
Be4 Be 0.283 0.624 0.517
Be5 Be 0.876 0.483 0.783
Be6 Be 0.983 0.717 0.124
Be7 Be 0.017 0.217 0.376
Be8 Be 0.483 0.783 0.876
Be9 Be 0.717 0.124 0.983
Be10 Be 0.783 0.876 0.483
Be11 Be 0.376 0.017 0.217
Be12 Be 0.217 0.376 0.017
Cd1 Cd 0.904 0.404 0.096
Cd2 Cd 0.334 0.334 0.334
Cd3 Cd 0.166 0.666 0.834
Cd4 Cd 0.096 0.904 0.404
Cd5 Cd 0.404 0.096 0.904
Cd6 Cd 0.596 0.596 0.596
Cd7 Cd 0.834 0.166 0.666
Cd8 Cd 0.666 0.834 0.166
Tl1 Tl 0.684 0.184 0.316
Tl2 Tl 0.816 0.816 0.816
Tl3 Tl 0.316 0.684 0.184
Tl4 Tl 0.450 0.950 0.550
Tl5 Tl 0.184 0.316 0.684
Tl6 Tl 0.050 0.050 0.050
Tl7 Tl 0.550 0.450 0.950
Tl8 Tl 0.950 0.550 0.450
```



2.
The following is a DFT calculation (GGA-PBE) of an optimized crystal structure of Be2CdP.

Properties
For the energy of formation from the pure elements, the calculation gives 0.7202 eV per atom. As for the space-group type: Fm-3m (225). Its raw total energy is -10.9 eV for the cell shown. For the volume, the calculation gives 14.12 Å³ per atom.

```
data_Be2CdP
_symmetry_space_group_name_H-M 'P 1'
_symmetry_Int_Tables_number 1
_symmetry_space_group_name_Hall 'P 1'
_cell_length_a 4.306
_cell_length_b 4.306
_cell_length_c 4.306
_cell_angle_alpha 60.00
_cell_angle_beta 60.00
_cell_angle_gamma 60.00
loop_
_atom_site_label
_atom_site_type_symbol
_atom_site_fract_x
_atom_site_fract_y
_atom_site_fract_z
Cd1 Cd 0.000 0.000 0.000
P1 P 0.500 0.500 0.500
Be1 Be 0.750 0.750 0.750
Be2 Be 0.250 0.250 0.250
```



3.
The following is a DFT calculation (GGA-PBE) of an optimized crystal structure of LaCeBe26.

Properties
For the energy of formation from the pure elements, the calculation gives -0.1421 eV per atom. As for the space-group type: F432 (209). Its raw total energy is -112.1 eV for the cell shown. For the volume, the calculation gives 9.83 Å³ per atom.

```
data_LaCeBe26
_symmetry_space_group_name_H-M 'P 1'
_symmetry_Int_Tables_number 1
_symmetry_space_group_name_Hall 'P 1'
_cell_length_a 7.302
_cell_length_b 7.302
_cell_length_c 7.302
_cell_angle_alpha 60.00
_cell_angle_beta 60.00
_cell_angle_gamma 60.00
loop_
_atom_site_label
_atom_site_type_symbol
_atom_site_fract_x
_atom_site_fract_y
_atom_site_fract_z
Be1 Be 0.036 0.460 0.814
Be2 Be 0.750 0.750 0.750
Be3 Be 0.311 0.186 0.964
Be4 Be 0.814 0.036 0.460
Be5 Be 0.964 0.540 0.311
Be6 Be 0.186 0.540 0.964
Be7 Be 0.689 0.460 0.036
Be8 Be 0.460 0.689 0.814
Be9 Be 0.186 0.311 0.540
Be10 Be 0.964 0.311 0.186
Be11 Be 0.540 0.311 0.964
Be12 Be 0.036 0.689 0.460
Be13 Be 0.311 0.540 0.186
Be14 Be 0.689 0.814 0.460
Be15 Be 0.250 0.250 0.250
Be16 Be 0.460 0.036 0.689
Be17 Be 0.814 0.460 0.689
Be18 Be 0.814 0.689 0.036
Be19 Be 0.186 0.964 0.311
Be20 Be 0.036 0.814 0.689
Be21 Be 0.689 0.036 0.814
Be22 Be 0.540 0.186 0.311
Be23 Be 0.964 0.186 0.540
Be24 Be 0.540 0.964 0.186
Be25 Be 0.460 0.814 0.036
Be26 Be 0.311 0.964 0.540
Ce1 Ce 0.000 0.000 0.000
La1 La 0.500 0.500 0.500
```



4.
The following is a DFT calculation (GGA-PBE) of an optimized crystal structure of CeBeO3.

Properties
For the energy of formation from the pure elements, the calculation gives -3.1793 eV per atom. As for the space-group type: Pm-3m (221). Its raw total energy is -38.4 eV for the cell shown. For the volume, the calculation gives 9.33 Å³ per atom.

```
data_CeBeO3
_symmetry_space_group_name_H-M 'P 1'
_symmetry_Int_Tables_number 1
_symmetry_space_group_name_Hall 'P 1'
_cell_length_a 3.600
_cell_length_b 3.600
_cell_length_c 3.600
_cell_angle_alpha 90.00
_cell_angle_beta 90.00
_cell_angle_gamma 90.00
loop_
_atom_site_label
_atom_site_type_symbol
_atom_site_fract_x
_atom_site_fract_y
_atom_site_fract_z
O1 O 0.500 0.500 0.000
O2 O 0.000 0.500 0.500
O3 O 0.500 0.000 0.500
Be1 Be 0.500 0.500 0.500
Ce1 Ce 0.000 0.000 0.000
```



5.
The following is a DFT calculation (GGA-PBE) of an optimized crystal structure of Cs2BeCl4.

Properties
For the energy of formation from the pure elements, the calculation gives -2.1741 eV per atom. As for the space-group type: Pnma (62). Its raw total energy is -102.7 eV for the cell shown. For the volume, the calculation gives 33.08 Å³ per atom.

```
data_Cs2BeCl4
_symmetry_space_group_name_H-M 'P 1'
_symmetry_Int_Tables_number 1
_symmetry_space_group_name_Hall 'P 1'
_cell_length_a 7.327
_cell_length_b 9.856
_cell_length_c 12.826
_cell_angle_alpha 90.00
_cell_angle_beta 90.00
_cell_angle_gamma 90.00
loop_
_atom_site_label
_atom_site_type_symbol
_atom_site_fract_x
_atom_site_fract_y
_atom_site_fract_z
Cl1 Cl 0.022 0.821 0.650
Cl2 Cl 0.250 0.800 0.427
Cl3 Cl 0.522 0.679 0.150
Cl4 Cl 0.250 0.538 0.596
Cl5 Cl 0.522 0.179 0.350
Cl6 Cl 0.978 0.679 0.150
Cl7 Cl 0.750 0.462 0.404
Cl8 Cl 0.022 0.321 0.850
Cl9 Cl 0.478 0.321 0.850
Cl10 Cl 0.750 0.700 0.927
Cl11 Cl 0.750 0.200 0.573
Cl12 Cl 0.250 0.300 0.073
Cl13 Cl 0.750 0.962 0.096
Cl14 Cl 0.978 0.179 0.350
Cl15 Cl 0.478 0.821 0.650
Cl16 Cl 0.250 0.038 0.904
Cs1 Cs 0.250 0.649 0.899
Cs2 Cs 0.250 0.978 0.176
Cs3 Cs 0.250 0.149 0.601
Cs4 Cs 0.750 0.022 0.824
Cs5 Cs 0.750 0.351 0.101
Cs6 Cs 0.750 0.522 0.676
Cs7 Cs 0.250 0.478 0.324
Cs8 Cs 0.750 0.851 0.399
Be1 Be 0.250 0.743 0.581
Be2 Be 0.250 0.243 0.919
Be3 Be 0.750 0.257 0.419
Be4 Be 0.750 0.757 0.081
```



6.
The following is a DFT calculation (GGA-PBE) of an optimized crystal structure of K2Zr6BeCl15.

Properties
For the energy of formation from the pure elements, the calculation gives -2.0812 eV per atom. As for the space-group type: Cccm (66). Its raw total energy is -251.4 eV for the cell shown. For the volume, the calculation gives 28.83 Å³ per atom.

```
data_K2Zr6BeCl15
_symmetry_space_group_name_H-M 'P 1'
_symmetry_Int_Tables_number 1
_symmetry_space_group_name_Hall 'P 1'
_cell_length_a 10.124
_cell_length_b 10.124
_cell_length_c 14.381
_cell_angle_alpha 90.00
_cell_angle_beta 90.00
_cell_angle_gamma 110.16
loop_
_atom_site_label
_atom_site_type_symbol
_atom_site_fract_x
_atom_site_fract_y
_atom_site_fract_z
Cl1 Cl 0.822 0.191 0.624
Cl2 Cl 0.000 0.500 0.746
Cl3 Cl 0.383 0.637 0.000
Cl4 Cl 0.637 0.383 0.500
Cl5 Cl 0.000 0.000 0.500
Cl6 Cl 0.191 0.822 0.124
Cl7 Cl 0.309 0.193 0.372
Cl8 Cl 0.373 0.627 0.750
Cl9 Cl 0.627 0.373 0.750
Cl10 Cl 0.809 0.178 0.876
Cl11 Cl 0.193 0.309 0.128
Cl12 Cl 0.193 0.309 0.872
Cl13 Cl 0.691 0.807 0.628
Cl14 Cl 0.000 0.000 0.000
Cl15 Cl 0.627 0.373 0.250
Cl16 Cl 0.807 0.691 0.872
Cl17 Cl 0.309 0.193 0.628
Cl18 Cl 0.691 0.807 0.372
Cl19 Cl 0.373 0.627 0.250
Cl20 Cl 0.809 0.178 0.124
Cl21 Cl 0.191 0.822 0.876
Cl22 Cl 0.000 0.500 0.254
Cl23 Cl 0.617 0.363 0.000
Cl24 Cl 0.500 0.000 0.246
Cl25 Cl 0.500 0.000 0.754
Cl26 Cl 0.178 0.809 0.624
Cl27 Cl 0.363 0.617 0.500
Cl28 Cl 0.807 0.691 0.128
Cl29 Cl 0.178 0.809 0.376
Cl30 Cl 0.822 0.191 0.376
Zr1 Zr 0.560 0.178 0.382
Zr2 Zr 0.440 0.822 0.382
Zr3 Zr 0.822 0.440 0.118
Zr4 Zr 0.995 0.732 0.000
Zr5 Zr 0.178 0.560 0.118
Zr6 Zr 0.178 0.560 0.882
Zr7 Zr 0.268 0.005 0.500
Zr8 Zr 0.732 0.995 0.500
Zr9 Zr 0.005 0.268 0.000
Zr10 Zr 0.822 0.440 0.882
Zr11 Zr 0.560 0.178 0.618
Zr12 Zr 0.440 0.822 0.618
K1 K 0.000 0.000 0.750
K2 K 0.000 0.500 0.500
K3 K 0.500 0.000 0.000
K4 K 0.000 0.000 0.250
Be1 Be 0.000 0.500 0.000
Be2 Be 0.500 0.000 0.500
```